# Ti2NiP5 | Materials Project | PBE-GGA | relaxed
data_Ti2NiP5
_chemical_formula_sum 'Ti8 Ni4 P20'
_cell_length_a 11.1290
_cell_length_b 3.3374
_cell_length_c 12.4436
_cell_angle_alpha 90.00
_cell_angle_beta 90.00
_cell_angle_gamma 90.00
_space_group_name_H-M_alt 'P n m a'
_space_group_IT_number 62
loop_
_space_group_symop_operation_xyz
'x,y,z'
'-x,-y,-z'
'-x+1/2,-y,z+1/2'
'x+1/2,y,-z+1/2'
'x+1/2,-y+1/2,-z+1/2'
'-x+1/2,y+1/2,z+1/2'
'-x,y+1/2,-z'
'x,-y+1/2,z'
loop_
_atom_site_label
_atom_site_type_symbol
_atom_site_fract_x
_atom_site_fract_y
_atom_site_fract_z
Ti1 Ti 0.0968 0.2500 0.2344
Ti2 Ti 0.1561 0.7500 0.9016
Ni1 Ni 0.1542 0.7500 0.6723
P1 P 0.0625 0.7500 0.5182
P2 P 0.0673 0.2500 0.0356
P3 P 0.0727 0.2500 0.7705
P4 P 0.1762 0.7500 0.3739
P5 P 0.2179 0.7500 0.1127
# DFT total energy = -0.50208 Ry per atom
# energy relative to the elements = -0.75 eV/atom